1.
ZnGaIr2 (PBE, optimized geometry); electronic total energy = -23.39 eV/cell; ρ = 15.3 g/cm³
1.0
0.000 3.041 3.041
3.041 0.000 3.041
3.041 3.041 0.000
Ga Ir Zn
1 2 1
direct
0.500 0.500 0.500 Ga
0.750 0.750 0.750 Ir
0.250 0.250 0.250 Ir
0.000 0.000 0.000 Zn



2.
Zr6Ga16Ir7 (PBE, optimized geometry); electronic total energy = -179.22 eV/cell; ρ = 10.3 g/cm³
1.0
0.000 6.230 6.230
6.230 0.000 6.230
6.230 6.230 0.000
Ga Ir Zr
16 7 6
direct
0.656 0.656 0.656 Ga
0.122 0.122 0.122 Ga
0.122 0.634 0.122 Ga
0.344 0.967 0.344 Ga
0.967 0.344 0.344 Ga
0.344 0.344 0.967 Ga
0.656 0.033 0.656 Ga
0.878 0.878 0.878 Ga
0.634 0.122 0.122 Ga
0.656 0.656 0.033 Ga
0.878 0.878 0.366 Ga
0.033 0.656 0.656 Ga
0.878 0.366 0.878 Ga
0.366 0.878 0.878 Ga
0.122 0.122 0.634 Ga
0.344 0.344 0.344 Ga
0.500 0.500 0.000 Ir
0.500 0.000 0.500 Ir
0.000 0.500 0.000 Ir
0.000 0.000 0.000 Ir
0.000 0.500 0.500 Ir
0.000 0.000 0.500 Ir
0.500 0.000 0.000 Ir
0.695 0.305 0.305 Zr
0.305 0.305 0.695 Zr
0.305 0.695 0.305 Zr
0.695 0.695 0.305 Zr
0.305 0.695 0.695 Zr
0.695 0.305 0.695 Zr



3.
K3Ga (PBE, optimized geometry); electronic total energy = -5.66 eV/cell; ρ = 1.7 g/cm³
1.0
-4.493 3.115 1.694
-3.434 -3.138 -3.336
-0.887 -3.635 4.332
Ga K
1 3
direct
0.000 0.000 0.000 Ga
0.000 0.500 0.500 K
0.500 0.000 0.500 K
0.500 0.500 0.000 K



4.
K3Ga (PBE, optimized geometry); electronic total energy = -5.68 eV/cell; ρ = 1.7 g/cm³
1.0
-2.187 2.865 5.302
-0.854 6.354 0.091
-5.929 2.437 0.114
K Ga
3 1
direct
0.250 0.250 0.250 K
0.500 0.500 0.500 K
0.750 0.750 0.750 K
0.000 0.000 0.000 Ga



5.
K2Ga3 (PBE, optimized geometry); electronic total energy = -24.07 eV/cell; ρ = 3.3 g/cm³
1.0
2.494 5.897 5.855
-5.392 6.490 2.019
-0.295 -8.640 -0.730
Ga K
6 4
direct
0.861 0.861 0.000 Ga
0.139 0.139 0.000 Ga
0.000 0.294 0.294 Ga
0.000 0.706 0.706 Ga
0.706 0.000 0.706 Ga
0.294 0.000 0.294 Ga
0.750 0.250 0.500 K
0.390 0.390 0.000 K
0.250 0.750 0.500 K
0.610 0.610 0.000 K



6.
K3Ga (PBE, optimized geometry); electronic total energy = -5.70 eV/cell; ρ = 1.7 g/cm³
1.0
3.271 -0.059 6.152
-3.205 -4.593 4.145
2.447 -0.619 -6.495
Ga K
1 3
direct
0.000 0.000 0.000 Ga
0.500 0.500 0.000 K
0.250 0.750 0.500 K
0.750 0.250 0.500 K